A.
Density functional theory data (GGA+U) for a geometry-optimized Li3NiPCO7 structure. Values from VASP.

Output
total magnetic moment: 0.00 μB per atom

Cell and atoms, written as Quantum ESPRESSO input:
```
&SYSTEM
  ibrav = 0, nat = 52, ntyp = 5
/
ATOMIC_SPECIES
Li 6.94 Li.upf
Ni 58.69 Ni.upf
P 30.97 P.upf
C 12.01 C.upf
O 16.00 O.upf
CELL_PARAMETERS angstrom
-2.3156 5.5867 1.9205
-7.8896 -2.5500 -2.1048
-1.9719 -3.8330 8.7697
ATOMIC_POSITIONS crystal
Li 0.2621 0.1095 0.3874
Li 0.2619 0.1094 0.8873
Li 0.7619 0.8906 0.1127
Li 0.7621 0.8904 0.6126
Li 0.4848 0.2811 0.1223
Li 0.4846 0.2811 0.6225
Li 0.9851 0.7190 0.3776
Li 0.9852 0.7190 0.8777
Li 0.7432 0.3587 0.3895
Li 0.7433 0.3583 0.8896
Li 0.2434 0.6418 0.1104
Li 0.2433 0.6414 0.6105
Ni 0.9983 0.2644 0.6277
Ni 0.4987 0.7353 0.3722
Ni 0.9988 0.2651 0.1281
Ni 0.4990 0.7348 0.8719
P 0.2480 0.4093 0.3621
P 0.2478 0.4092 0.8621
P 0.7479 0.5908 0.1378
P 0.7481 0.5906 0.6379
C 0.7608 0.0427 0.3544
C 0.7605 0.0426 0.8544
C 0.2605 0.9574 0.1456
C 0.2607 0.9572 0.6456
O 0.7658 0.0663 0.4817
O 0.7650 0.0662 0.9818
O 0.2651 0.9338 0.0184
O 0.2658 0.9337 0.5183
O 0.2376 0.1016 0.1845
O 0.2372 0.1014 0.6843
O 0.7378 0.8985 0.3156
O 0.7378 0.8984 0.8155
O 0.7745 0.1573 0.2594
O 0.7745 0.1573 0.7594
O 0.2746 0.8427 0.2407
O 0.2748 0.8427 0.7406
O 0.0557 0.3170 0.4259
O 0.0557 0.3168 0.9262
O 0.5559 0.6834 0.0738
O 0.5558 0.6831 0.5742
O 0.4414 0.3110 0.4112
O 0.4414 0.3109 0.9109
O 0.9415 0.6891 0.0889
O 0.9415 0.6890 0.5888
O 0.7512 0.4195 0.0971
O 0.7511 0.4194 0.5970
O 0.2514 0.5806 0.4031
O 0.2513 0.5805 0.9029
O 0.2267 0.4141 0.2017
O 0.2260 0.4136 0.7019
O 0.7262 0.5863 0.2981
O 0.7269 0.5860 0.7983
```

B.
Density functional theory data (GGA+U) for a geometry-optimized Li3NiPCO7 structure. Values from VASP.

Output
total magnetic moment: 0.15 μB per atom

Cell and atoms, written as Quantum ESPRESSO input:
```
&SYSTEM
  ibrav = 0, nat = 52, ntyp = 5
/
ATOMIC_SPECIES
Li 6.94 Li.upf
Ni 58.69 Ni.upf
P 30.97 P.upf
C 12.01 C.upf
O 16.00 O.upf
CELL_PARAMETERS angstrom
-4.2188 0.1492 2.5757
3.7104 -5.5137 5.0556
4.6487 9.6957 7.0096
ATOMIC_POSITIONS crystal
Li 0.2355 0.0975 0.1245
Li 0.2314 0.1015 0.6288
Li 0.7540 0.2790 0.5135
Li 0.7511 0.2728 0.2474
Li 0.7655 0.2804 0.7408
Li 0.2190 0.3478 0.8691
Li 0.2435 0.7188 0.9820
Li 0.2460 0.7206 0.2632
Li 0.2489 0.7238 0.4941
Li 0.2463 0.7200 0.7618
Li 0.7664 0.9012 0.3782
Li 0.7668 0.9012 0.8713
Ni 0.7517 0.2662 0.9964
Ni 0.2090 0.3326 0.3759
Ni 0.7937 0.6670 0.1242
Ni 0.7928 0.6664 0.6254
P 0.2715 0.4127 0.1236
P 0.2774 0.4133 0.6253
P 0.7205 0.5855 0.3741
P 0.7147 0.5873 0.8767
C 0.2975 0.0392 0.3734
C 0.2955 0.0408 0.8828
C 0.7031 0.9592 0.6248
C 0.7062 0.9613 0.1227
O 0.0466 0.0731 0.8813
O 0.0488 0.0765 0.3734
O 0.6458 0.1114 0.1180
O 0.6405 0.1066 0.6253
O 0.4891 0.1561 0.3724
O 0.4895 0.1567 0.8897
O 0.1746 0.3079 0.5302
O 0.1522 0.3091 0.0317
O 0.1848 0.3089 0.2195
O 0.1789 0.3096 0.7185
O 0.8303 0.4182 0.3737
O 0.8231 0.4185 0.8765
O 0.5944 0.4384 0.6235
O 0.5908 0.4307 0.1140
O 0.4047 0.5617 0.3735
O 0.4024 0.5706 0.8773
O 0.1739 0.5826 0.1276
O 0.1683 0.5812 0.6241
O 0.8240 0.6922 0.4675
O 0.8220 0.6899 0.2800
O 0.8275 0.6878 0.7826
O 0.8270 0.6934 0.9701
O 0.5127 0.8483 0.1265
O 0.5135 0.8412 0.6241
O 0.3584 0.8916 0.3745
O 0.3623 0.8939 0.8742
O 0.9535 0.9251 0.1250
O 0.9526 0.9229 0.6251
```

What should be chosen as the most stable of them? Choose B.

A.
Density functional theory data (GGA+U) for a geometry-optimized Li3V3B2O10 structure. Values from VASP.

Output
total magnetic moment: 0.22 μB per atom

Cell and atoms, written as Quantum ESPRESSO input:
```
&SYSTEM
  ibrav = 0, nat = 36, ntyp = 4
/
ATOMIC_SPECIES
Li 6.94 Li.upf
V 50.94 V.upf
B 10.81 B.upf
O 16.00 O.upf
CELL_PARAMETERS angstrom
-1.0060 1.4732 2.4032
7.4571 -2.9820 4.9497
6.3178 9.7278 -3.3184
ATOMIC_POSITIONS crystal
Li 0.5000 0.9920 0.9969
Li 0.5000 0.0016 0.7242
Li 0.5000 0.5002 0.5035
Li 0.0000 0.4943 0.9874
Li 0.5000 0.4952 0.7892
Li 0.5000 0.9999 0.2782
V 0.0000 0.0044 0.5010
V 0.0000 0.7561 0.8862
V 0.0000 0.7375 0.3880
V 0.5000 0.4956 0.2132
V 0.0000 0.2645 0.6200
V 0.0000 0.2293 0.1022
B 0.0000 0.7687 0.1413
B 0.0000 0.7364 0.6383
B 0.0000 0.2713 0.3674
B 0.0000 0.2374 0.8581
O 0.5000 0.8778 0.8545
O 0.5000 0.8796 0.4298
O 0.0000 0.8827 0.6346
O 0.0000 0.8382 0.2421
O 0.0000 0.8412 0.0430
O 0.0000 0.6589 0.5387
O 0.0000 0.6647 0.7382
O 0.0000 0.6173 0.1459
O 0.5000 0.6324 0.9269
O 0.5000 0.6145 0.3485
O 0.5000 0.3754 0.6466
O 0.5000 0.3746 0.0800
O 0.0000 0.3791 0.8580
O 0.0000 0.3490 0.2638
O 0.0000 0.3491 0.4621
O 0.0000 0.1532 0.9575
O 0.0000 0.1592 0.7596
O 0.0000 0.1262 0.3628
O 0.5000 0.1226 0.5693
O 0.5000 0.1200 0.1434
```

B.
Density functional theory data (GGA+U) for a geometry-optimized Li3V3B2O10 structure. Values from VASP.

Output
total magnetic moment: 0.22 μB per atom

Cell and atoms, written as Quantum ESPRESSO input:
```
&SYSTEM
  ibrav = 0, nat = 36, ntyp = 4
/
ATOMIC_SPECIES
Li 6.94 Li.upf
V 50.94 V.upf
B 10.81 B.upf
O 16.00 O.upf
CELL_PARAMETERS angstrom
3.0138 0.0000 0.0000
0.1202 9.3374 0.0000
0.0514 0.3107 12.1609
ATOMIC_POSITIONS crystal
Li 0.9990 0.0022 0.9995
Li 0.0033 0.0177 0.7226
Li 0.9981 0.4844 0.4964
Li 0.5008 0.4997 0.0008
Li 0.5032 0.2712 0.6159
Li 0.9983 0.9985 0.2813
V 0.4840 0.0053 0.5025
V 0.4817 0.7651 0.8910
V 0.4973 0.7382 0.3876
V 0.0030 0.4967 0.2181
V 0.9996 0.4960 0.7793
V 0.5189 0.2341 0.1097
B 0.5020 0.7695 0.1418
B 0.5011 0.7285 0.6322
B 0.5004 0.2718 0.3700
B 0.4983 0.2255 0.8562
O 0.0183 0.8786 0.8552
O 0.9942 0.8847 0.4315
O 0.5100 0.8736 0.6371
O 0.4975 0.8427 0.2373
O 0.5125 0.8408 0.0401
O 0.4991 0.6499 0.5400
O 0.4961 0.6494 0.7389
O 0.5023 0.6173 0.1440
O 0.9858 0.6206 0.9189
O 0.0017 0.6117 0.3460
O 0.0011 0.4120 0.6594
O 0.0129 0.3773 0.0791
O 0.5025 0.3841 0.8529
O 0.5028 0.3457 0.2606
O 0.5017 0.3502 0.4590
O 0.4820 0.1613 0.9610
O 0.5027 0.1541 0.7636
O 0.4952 0.1234 0.3645
O 0.0104 0.0988 0.5606
O 0.9821 0.1193 0.1454
```

What should be chosen as the most stable of them? Choose B.

A.
Density functional theory data (GGA+U) for a geometry-optimized Al2NiO4 structure. Values from VASP.

Output
total magnetic moment: 0.29 μB per atom

Cell and atoms, written as Quantum ESPRESSO input:
```
&SYSTEM
  ibrav = 0, nat = 70, ntyp = 3
/
ATOMIC_SPECIES
Al 26.98 Al.upf
Ni 58.69 Ni.upf
O 16.00 O.upf
CELL_PARAMETERS angstrom
2.8827 4.9874 0.0000
-2.8827 4.9874 0.0000
0.0000 3.3558 23.3289
ATOMIC_POSITIONS crystal
Al 0.9996 0.9996 0.0022
Al 0.2922 0.8017 0.1005
Al 0.8017 0.2922 0.1005
Al 0.5976 0.5976 0.2023
Al 0.5286 0.5286 0.4275
Al 0.8945 0.3992 0.3006
Al 0.2663 0.2663 0.1760
Al 0.3992 0.8945 0.3006
Al 0.1303 0.1303 0.6261
Al 0.4997 0.0004 0.4998
Al 0.8690 0.8690 0.3732
Al 0.0004 0.4997 0.4998
Al 0.7339 0.7339 0.8244
Al 0.1011 0.6014 0.6993
Al 0.6014 0.1011 0.6993
Al 0.4709 0.4709 0.5730
Al 0.7014 0.2055 0.8985
Al 0.0722 0.0722 0.7728
Al 0.2055 0.7014 0.8985
Al 0.6696 0.6696 0.9762
Ni 0.3269 0.3269 0.0232
Ni 0.9239 0.9239 0.2274
Ni 0.8007 0.8007 0.1003
Ni 0.1990 0.1990 0.3997
Ni 0.3989 0.3989 0.3007
Ni 0.8002 0.8002 0.5997
Ni 0.0000 0.0000 0.5000
Ni 0.2041 0.2041 0.8990
Ni 0.4022 0.4022 0.7996
Ni 0.6008 0.6008 0.6995
O 0.6850 0.1482 0.0503
O 0.1482 0.6850 0.0503
O 0.9617 0.9617 0.1438
O 0.1326 0.1326 0.0533
O 0.2870 0.7445 0.2514
O 0.4549 0.4549 0.1493
O 0.4454 0.9270 0.1507
O 0.6391 0.6391 0.0540
O 0.7445 0.2870 0.2514
O 0.5555 0.5555 0.3503
O 0.7267 0.7267 0.2539
O 0.9270 0.4454 0.1507
O 0.8582 0.3603 0.4536
O 0.0507 0.0507 0.3454
O 0.2387 0.2387 0.2535
O 0.0359 0.5418 0.3466
O 0.1590 0.1590 0.5478
O 0.3603 0.8582 0.4536
O 0.3455 0.3455 0.4543
O 0.5418 0.0359 0.3466
O 0.6534 0.6534 0.5463
O 0.4578 0.9622 0.6531
O 0.8408 0.8408 0.4523
O 0.6388 0.1422 0.5469
O 0.7610 0.7610 0.7463
O 0.9622 0.4578 0.6531
O 0.1422 0.6388 0.5469
O 0.9477 0.9477 0.6535
O 0.0571 0.5668 0.8523
O 0.2547 0.2547 0.7462
O 0.2397 0.7434 0.7467
O 0.4416 0.4416 0.6521
O 0.3697 0.3697 0.9390
O 0.5668 0.0571 0.8523
O 0.5544 0.5544 0.8524
O 0.7434 0.2397 0.7467
O 0.8594 0.8594 0.9496
O 0.8508 0.3300 0.9504
O 0.0431 0.0431 0.8524
O 0.3300 0.8508 0.9504
```

B.
Density functional theory data (GGA+U) for a geometry-optimized Al2NiO4 structure. Values from VASP.

Output
total magnetic moment: 0.29 μB per atom

Cell and atoms, written as Quantum ESPRESSO input:
```
&SYSTEM
  ibrav = 0, nat = 70, ntyp = 3
/
ATOMIC_SPECIES
Al 26.98 Al.upf
Ni 58.69 Ni.upf
O 16.00 O.upf
CELL_PARAMETERS angstrom
-4.2888 -2.2139 3.1273
0.4328 -5.3584 2.0433
8.5717 5.5575 21.2145
ATOMIC_POSITIONS crystal
Al 0.9288 0.9288 0.2276
Al 0.2950 0.7995 0.1006
Al 0.7995 0.2950 0.1006
Al 0.5298 0.5298 0.4266
Al 0.8996 0.4001 0.3000
Al 0.2690 0.2690 0.1731
Al 0.4001 0.8996 0.3000
Al 0.1302 0.1302 0.6263
Al 0.5001 0.0003 0.4999
Al 0.8703 0.8703 0.3734
Al 0.0003 0.5001 0.4999
Al 0.7326 0.7326 0.8250
Al 0.1006 0.6006 0.6995
Al 0.4705 0.4705 0.5731
Al 0.6006 0.1006 0.6995
Al 0.6993 0.2039 0.8992
Al 0.0710 0.0710 0.7732
Al 0.9987 0.9987 0.0023
Al 0.2039 0.6993 0.8992
Al 0.6686 0.6686 0.9758
Ni 0.3257 0.3257 0.0255
Ni 0.5994 0.5994 0.1997
Ni 0.7992 0.7992 0.1005
Ni 0.2000 0.2000 0.4000
Ni 0.3999 0.3999 0.3001
Ni 0.8001 0.8001 0.5999
Ni 0.0001 0.0001 0.5000
Ni 0.4011 0.4011 0.8000
Ni 0.6003 0.6003 0.6997
Ni 0.2026 0.2026 0.8994
O 0.6867 0.1463 0.0509
O 0.1463 0.6867 0.0509
O 0.9556 0.9556 0.1500
O 0.1282 0.1282 0.0536
O 0.2581 0.7608 0.2536
O 0.4513 0.4513 0.1452
O 0.6398 0.6398 0.0532
O 0.7608 0.2581 0.2536
O 0.4360 0.9424 0.1464
O 0.5584 0.5584 0.3481
O 0.7453 0.7453 0.2543
O 0.9424 0.4360 0.1464
O 0.8574 0.3617 0.4534
O 0.0535 0.0535 0.3464
O 0.2412 0.2412 0.2522
O 0.3617 0.8574 0.4534
O 0.0382 0.5423 0.3470
O 0.1589 0.1589 0.5477
O 0.3466 0.3466 0.4539
O 0.5423 0.0382 0.3470
O 0.4573 0.9621 0.6531
O 0.6536 0.6536 0.5463
O 0.9621 0.4573 0.6531
O 0.8413 0.8413 0.4524
O 0.6385 0.1424 0.5469
O 0.7599 0.7599 0.7466
O 0.9472 0.9472 0.6536
O 0.1424 0.6385 0.5469
O 0.2541 0.2541 0.7464
O 0.0557 0.5656 0.8527
O 0.4415 0.4415 0.6522
O 0.2387 0.7428 0.7468
O 0.5656 0.0557 0.8527
O 0.3665 0.3665 0.9405
O 0.5523 0.5523 0.8529
O 0.7428 0.2387 0.7468
O 0.8586 0.8586 0.9497
O 0.0420 0.0420 0.8527
O 0.8489 0.3290 0.9504
O 0.3290 0.8489 0.9504
```

What should be chosen as the most stable of them? Choose B.